No. 1
This record from the Materials Project describes an optimized crystal structure of TmCu2O4. The functional is PBE.

abc: 6.222 6.222 6.222
angles: 126.15 126.15 79.64
Atoms (fractional coordinates):
1 Tm 0.375 0.125 0.250
2 Tm 0.625 0.875 0.750
3 Cu 0.000 0.000 0.500
4 Cu 0.000 0.500 0.000
5 Cu 0.000 0.500 0.500
6 Cu 0.500 0.500 0.000
7 O 0.027 0.131 0.301
8 O 0.226 0.527 0.396
9 O 0.330 0.726 0.199
10 O 0.369 0.170 0.896
11 O 0.631 0.830 0.104
12 O 0.670 0.274 0.801
13 O 0.774 0.473 0.604
14 O 0.973 0.869 0.699

crystal system	tetragonal
formation energy	-1418	kJ/mol of formula units



No. 2
This record from the Materials Project describes an optimized crystal structure of Tm2Cu2O5. The functional is PBE.

abc: 10.818 3.459 12.434
angles: 90.00 90.00 90.00
Atoms (fractional coordinates):
1 Tm 0.042 0.224 0.000
2 Tm 0.208 0.222 0.328
3 Tm 0.292 0.722 0.828
4 Tm 0.458 0.724 0.500
5 Tm 0.542 0.276 0.000
6 Tm 0.708 0.278 0.328
7 Tm 0.792 0.778 0.828
8 Tm 0.958 0.776 0.500
9 Cu 0.011 0.340 0.718
10 Cu 0.238 0.155 0.611
11 Cu 0.262 0.655 0.111
12 Cu 0.489 0.840 0.218
13 Cu 0.511 0.160 0.718
14 Cu 0.738 0.345 0.611
15 Cu 0.762 0.845 0.111
16 Cu 0.989 0.660 0.218
17 O 0.071 0.276 0.565
18 O 0.078 0.728 0.358
19 O 0.125 0.334 0.164
20 O 0.172 0.724 0.971
21 O 0.179 0.219 0.763
22 O 0.321 0.719 0.263
23 O 0.328 0.224 0.471
24 O 0.375 0.834 0.664
25 O 0.422 0.228 0.858
26 O 0.429 0.776 0.065
27 O 0.571 0.224 0.565
28 O 0.578 0.772 0.358
29 O 0.625 0.166 0.164
30 O 0.672 0.776 0.971
31 O 0.679 0.281 0.763
32 O 0.821 0.781 0.263
33 O 0.828 0.276 0.471
34 O 0.875 0.666 0.664
35 O 0.922 0.272 0.858
36 O 0.929 0.724 0.065

crystal system	orthorhombic
magnetic moment	2.0	μB per formula unit
formation energy	-2299	kJ/mol of formula units



Calculated density, 7.880; 7.779 g/cm³ (same order as the records).
Calculated DFT total energy, -6.34; -6.92 eV/atom (same order as the records).